The following is a PBE+U calculation of a relaxed CaFe2P2O9 crystal, from Materials Project.

Values from the calculation:
ΔH_f (0 K) = -2.581 eV/atom
Symmetry = No. 62

a = 14.3974 Å, b = 6.4772 Å, c = 7.4959 Å
α = 90.00°, β = 90.00°, γ = 90.00°
With the nearest neighbours (Å) after each atom.
Fractional positions:
Ca  0.2215  0.2500  0.1071  5 O 2.35-2.45
Ca  0.2785  0.7500  0.6071  5 O 2.35-2.45
Ca  0.7215  0.2500  0.3929  5 O 2.35-2.45
Ca  0.7785  0.7500  0.8929  5 O 2.35-2.45
Fe  0.0000  0.0000  0.0000  6 O 2.02-2.09
Fe  0.0000  0.5000  0.0000  6 O 2.02-2.09
Fe  0.1191  0.2500  0.6489  5 O 1.93-2.12
Fe  0.3809  0.7500  0.1489  5 O 1.93-2.12
Fe  0.5000  0.0000  0.5000  6 O 2.02-2.09
Fe  0.5000  0.5000  0.5000  6 O 2.02-2.09
Fe  0.6191  0.2500  0.8511  5 O 1.93-2.12
Fe  0.8809  0.7500  0.3511  5 O 1.93-2.12
P  0.0664  0.7500  0.6379  4 O 1.51-1.57
P  0.1916  0.7500  0.1107  4 O 1.55-1.56
P  0.3084  0.2500  0.6107  4 O 1.55-1.56
P  0.4336  0.2500  0.1379  4 O 1.51-1.57
P  0.5664  0.7500  0.8621  4 O 1.51-1.57
P  0.6916  0.7500  0.3893  4 O 1.55-1.56
P  0.8084  0.2500  0.8893  4 O 1.55-1.56
P  0.9336  0.2500  0.3621  4 O 1.51-1.57
O  0.0086  0.2500  0.5027  1 P 1.51
O  0.0189  0.7500  0.8266  1 P 1.57
O  0.0545  0.2500  0.8763  3 Fe 1.94-2.02
O  0.1311  0.5528  0.1042  1 P 1.55
O  0.1311  0.9472  0.1042  1 P 1.55
O  0.1332  0.5621  0.6282  1 P 1.55
O  0.1332  0.9379  0.6282  1 P 1.55
O  0.2340  0.2500  0.4587  1 P 1.56
O  0.2488  0.2500  0.7842  1 P 1.56
O  0.2512  0.7500  0.2842  1 P 1.56
O  0.2660  0.7500  0.9587  1 P 1.56
O  0.3668  0.0621  0.1282  1 P 1.55
O  0.3668  0.4379  0.1282  1 P 1.55
O  0.3689  0.0528  0.6042  1 P 1.55
O  0.3689  0.4472  0.6042  1 P 1.55
O  0.4455  0.7500  0.3763  3 Fe 1.94-2.02
O  0.4811  0.2500  0.3266  1 P 1.57
O  0.4914  0.7500  0.0027  1 P 1.51
O  0.5086  0.2500  0.9973  1 P 1.51
O  0.5189  0.7500  0.6734  1 P 1.57
O  0.5545  0.2500  0.6237  3 Fe 1.94-2.02
O  0.6311  0.5528  0.3958  1 P 1.55
O  0.6311  0.9472  0.3958  1 P 1.55
O  0.6332  0.5621  0.8718  1 P 1.55
O  0.6332  0.9379  0.8718  1 P 1.55
O  0.7340  0.2500  0.0413  1 P 1.56
O  0.7488  0.2500  0.7158  1 P 1.56
O  0.7512  0.7500  0.2158  1 P 1.56
O  0.7660  0.7500  0.5413  1 P 1.56
O  0.8668  0.0621  0.3718  1 P 1.55
O  0.8668  0.4379  0.3718  1 P 1.55
O  0.8689  0.0528  0.8958  1 P 1.55
O  0.8689  0.4472  0.8958  1 P 1.55
O  0.9455  0.7500  0.1237  3 Fe 1.94-2.02
O  0.9811  0.2500  0.1734  1 P 1.57
O  0.9914  0.7500  0.4973  1 P 1.51

The following is a PBE+U calculation of a relaxed Li3Si2Ni2O8 crystal, from Materials Project.

Values from the calculation:
ΔH_f (0 K) = -2.301 eV/atom
Symmetry = No. 1
Energy relative to the lowest polymorph listed for this composition = 0.000 eV/atom
Size of the total moment = 5.000 μB/f.u.

a = 4.9654 Å, b = 5.3437 Å, c = 6.4151 Å
α = 89.99°, β = 89.88°, γ = 89.50°
With the nearest neighbours (Å) after each atom.
Fractional positions:
Li  0.0000  0.0000  0.0000  4 O 1.89-2.07
Li  0.0056  0.5238  0.7375  4 O 1.96-2.12
Li  0.4973  0.3489  0.4890  4 O 1.95-2.16
Si  0.4884  0.8614  0.7446  4 O 1.62-1.68
Si  0.9963  0.5073  0.2421  4 O 1.61-1.68
Ni  0.5022  0.3508  0.9903  4 O 1.83-1.90
Ni  0.9985  0.0051  0.4814  4 O 1.92-2.04
O  0.0642  0.8013  0.2397  1 Si 1.61
O  0.1010  0.3723  0.4583  1 Si 1.65
O  0.1226  0.3682  0.0278  1 Si 1.68
O  0.1574  0.8616  0.7412  1 Si 1.64
O  0.5950  0.5630  0.7635  1 Si 1.68
O  0.5965  0.0213  0.9501  1 Si 1.66, 1 Ni 1.84
O  0.6103  0.0004  0.5416  1 Si 1.62
O  0.6670  0.4552  0.2290  1 Si 1.66, 1 Ni 1.83

The following is a PBE+U calculation of a relaxed LiNiW2O8 crystal, from Materials Project.

Values from the calculation:
ΔH_f (0 K) = -1.909 eV/atom
Symmetry = No. 1
Size of the total moment = 2.990 μB/f.u.

a = 5.0432 Å, b = 5.7395 Å, c = 5.8336 Å
α = 69.88°, β = 89.63°, γ = 64.06°
With the nearest neighbours (Å) after each atom.
Fractional positions:
Li  0.0000  0.0000  0.0000  4 O 1.95-2.09
Ni  0.4650  0.0679  0.2992  6 O 2.05-2.14
W  0.2236  0.5502  0.6262  4 O 1.79-2.00
W  0.7032  0.5910  0.9598  4 O 1.82-2.03
O  0.1420  0.3467  0.9689  2 W 2.03-2.08, 1 Ni 2.14
O  0.2277  0.3193  0.4826  1 W 1.79
O  0.2425  0.8329  0.3558  1 W 1.87, 1 Ni 2.05, 1 Li 2.09
O  0.2880  0.7814  0.8373  1 W 1.89, 1 Li 1.95
O  0.6426  0.3522  0.7624  1 W 1.92, 1 Li 2.04
O  0.6966  0.2954  0.2197  1 W 1.86, 1 Ni 2.05
O  0.7190  0.8220  0.1026  1 W 1.82
O  0.7868  0.7769  0.6182  2 W 2.00-2.05, 1 Ni 2.10

The following is a PBE+U calculation of a relaxed ReNiO4 crystal, from Materials Project.

Values from the calculation:
ΔH_f (0 K) = -1.786 eV/atom
Symmetry = No. 12
Size of the total moment = 2.000 μB/f.u.

a = 5.5521 Å, b = 5.5521 Å, c = 4.7478 Å
α = 92.22°, β = 92.22°, γ = 63.28°
With the nearest neighbours (Å) after each atom.
Fractional positions:
Re  0.2289  0.7711  0.0000  6 O 1.85-2.01
Re  0.7711  0.2289  0.0000  6 O 1.85-2.01
Ni  0.2617  0.2617  0.4914  6 O 2.04-2.08
Ni  0.7383  0.7383  0.5086  6 O 2.04-2.08
O  0.1020  0.6178  0.7160  1 Re 1.85, 2 Ni 2.04
O  0.1098  0.1098  0.7905  2 Re 1.98, 1 Ni 2.07
O  0.3822  0.8980  0.2840  1 Re 1.85, 2 Ni 2.04
O  0.4097  0.4097  0.1815  2 Re 2.01, 1 Ni 2.08
O  0.5903  0.5903  0.8185  2 Re 2.01, 1 Ni 2.08
O  0.6178  0.1020  0.7160  1 Re 1.85, 2 Ni 2.04
O  0.8902  0.8902  0.2095  2 Re 1.98, 1 Ni 2.07
O  0.8980  0.3822  0.2840  1 Re 1.85, 2 Ni 2.04